First-principles (PBE-GGA) data for an optimized crystal structure of NaInGeP2SO12, as listed in Materials Project.

abc: 8.615 8.683 22.434
angles: 88.93 90.00 119.74
Positions (direct):
O 0.194 0.997 0.589
O 0.489 0.117 0.638
O 0.208 0.164 0.808
O 0.187 0.201 0.088
O 0.483 0.137 0.921
O 0.875 0.376 0.640
O 0.194 0.206 0.693
O 0.150 0.470 0.255
O 0.834 0.042 0.806
O 0.115 0.643 0.360
O 0.861 0.309 0.527
O 0.167 0.709 0.473
O 0.542 0.831 0.474
O 0.379 0.860 0.580
O 0.136 0.664 0.756
O 0.628 0.117 0.138
O 0.046 0.193 0.913
O 0.623 0.497 0.641
O 0.143 0.962 0.911
O 0.469 0.330 0.423
O 0.782 0.976 0.694
O 0.448 0.309 0.027
O 0.716 0.200 0.743
O 0.209 0.042 0.306
O 0.861 0.330 0.923
O 0.050 0.866 0.410
O 0.152 0.629 0.078
O 0.654 0.137 0.421
O 0.854 0.534 0.421
O 0.814 0.526 0.747
O 0.477 0.629 0.578
O 0.875 0.497 0.141
O 0.156 0.450 0.971
O 0.956 0.164 0.308
O 0.528 0.664 0.256
O 0.147 0.193 0.413
O 0.354 0.470 0.362
O 0.485 0.295 0.745
O 0.823 0.784 0.305
O 0.542 0.709 0.973
O 0.713 0.526 0.247
O 0.861 0.539 0.027
O 0.783 0.804 0.195
O 0.500 0.376 0.140
O 0.817 0.866 0.910
O 0.012 0.206 0.193
O 0.527 0.643 0.860
O 0.679 0.539 0.527
O 0.346 0.873 0.860
O 0.021 0.804 0.695
O 0.289 0.831 0.974
O 0.810 0.295 0.245
O 0.803 0.997 0.089
O 0.116 0.470 0.862
O 0.150 0.533 0.577
O 0.987 0.804 0.088
O 0.013 0.201 0.588
O 0.383 0.533 0.077
O 0.480 0.860 0.080
O 0.347 0.867 0.255
O 0.450 0.137 0.529
O 0.819 0.962 0.411
O 0.194 0.976 0.194
O 0.816 0.804 0.588
O 0.294 0.450 0.471
O 0.961 0.784 0.805
O 0.527 0.873 0.360
O 0.520 0.867 0.755
O 0.687 0.137 0.029
O 0.483 0.200 0.243
O 0.321 0.470 0.755
O 0.680 0.534 0.921
P 0.297 0.284 0.749
P 0.630 0.951 0.416
P 0.381 0.350 0.083
P 0.963 0.617 0.083
P 0.636 0.684 0.916
P 0.302 0.017 0.250
P 0.969 0.350 0.583
P 0.987 0.284 0.249
P 0.048 0.684 0.416
P 0.321 0.951 0.916
P 0.654 0.617 0.583
P 0.715 0.017 0.750
Na 0.315 0.658 0.168
Na 0.676 0.325 0.334
Na 0.982 0.992 0.501
Na 0.010 0.992 0.001
Na 0.343 0.658 0.668
Na 0.649 0.325 0.834
In 0.009 0.004 0.146
In 0.343 0.670 0.813
In 0.328 0.670 0.313
In 0.994 0.004 0.646
In 0.661 0.337 0.980
In 0.676 0.337 0.480
S 0.653 0.033 0.084
S 0.320 0.367 0.417
S 0.047 0.367 0.917
S 0.986 0.700 0.751
S 0.380 0.033 0.584
S 0.714 0.700 0.251
Ge 0.003 0.005 0.353
Ge 0.002 0.005 0.853
Ge 0.337 0.672 0.020
Ge 0.668 0.338 0.186
Ge 0.335 0.672 0.520
Ge 0.670 0.338 0.686

## Properties
Energy relative to the elements in eV/atom: -2.26
E_tot in Ry/atom: -0.471

***

First-principles (PBE-GGA) data for an optimized crystal structure of Na7In2Si3Ge2P3O24, as listed in Materials Project.

abc: 8.941 8.939 22.054
angles: 89.92 89.56 119.85
Positions (direct):
O 0.541 0.706 0.252
O 0.472 0.314 0.743
O 0.513 0.895 0.356
O 0.345 0.839 0.573
O 0.825 0.989 0.413
O 0.503 0.652 0.571
O 0.021 0.847 0.411
O 0.649 0.158 0.425
O 0.372 0.463 0.354
O 0.986 0.788 0.807
O 0.162 0.691 0.745
O 0.161 0.169 0.093
O 0.353 0.887 0.855
O 0.504 0.133 0.922
O 0.290 0.461 0.746
O 0.828 0.291 0.527
O 0.701 0.539 0.250
O 0.173 0.470 0.250
O 0.155 0.478 0.975
O 0.915 0.396 0.642
O 0.694 0.175 0.744
O 0.694 0.523 0.532
O 0.479 0.099 0.642
O 0.523 0.635 0.854
O 0.114 0.479 0.859
O 0.980 0.156 0.587
O 0.314 0.831 0.970
O 0.523 0.827 0.743
O 0.706 0.143 0.030
O 0.981 0.167 0.315
O 0.173 0.668 0.074
O 0.489 0.383 0.142
O 0.529 0.837 0.476
O 0.175 0.977 0.920
O 0.499 0.351 0.428
O 0.823 0.297 0.253
O 0.831 0.807 0.308
O 0.833 0.534 0.745
O 0.860 0.349 0.924
O 0.465 0.162 0.523
O 0.221 0.191 0.808
O 0.816 0.978 0.687
O 0.812 0.031 0.810
O 0.632 0.538 0.644
O 0.989 0.834 0.095
O 0.518 0.683 0.976
O 0.506 0.841 0.077
O 0.826 0.002 0.091
O 0.305 0.478 0.466
O 0.647 0.494 0.919
O 0.813 0.840 0.921
O 0.043 0.205 0.920
O 0.837 0.491 0.431
O 0.166 0.003 0.589
O 0.429 0.292 0.022
O 0.174 0.191 0.416
O 0.910 0.516 0.143
O 0.167 0.980 0.196
O 0.193 0.019 0.312
O 0.020 0.827 0.690
O 0.458 0.166 0.250
O 0.173 0.185 0.693
O 0.338 0.507 0.077
O 0.297 0.838 0.252
O 0.010 0.180 0.192
O 0.169 0.708 0.471
O 0.163 0.508 0.566
O 0.631 0.097 0.144
O 0.854 0.571 0.027
O 0.829 0.808 0.583
O 0.085 0.606 0.356
O 0.808 0.825 0.192
Si 0.974 0.337 0.580
Si 0.627 0.962 0.417
Si 0.025 0.663 0.417
Si 0.998 0.278 0.253
Si 0.359 0.332 0.084
Si 0.983 0.649 0.085
Si 0.624 0.664 0.917
Si 0.713 0.002 0.746
Si 0.366 0.034 0.581
Na 0.379 0.003 0.744
Na 0.970 0.306 0.416
Na 0.325 0.673 0.165
Na 0.619 0.002 0.254
Na 0.334 0.029 0.419
Na 0.663 0.970 0.582
Na 0.706 0.036 0.918
Na 0.666 0.333 0.833
Na 0.675 0.350 0.339
Na 0.959 0.665 0.922
Na 0.027 0.690 0.584
Na 0.629 0.630 0.747
Na 0.000 0.613 0.250
Na 0.668 0.685 0.082
Na 0.023 0.339 0.088
Na 0.380 0.383 0.248
Na 0.992 0.369 0.747
Na 0.332 0.653 0.659
Na 0.015 0.997 0.005
Na 0.999 0.000 0.500
Na 0.343 0.300 0.919
Ge 0.009 0.006 0.148
Ge 0.986 0.991 0.357
Ge 0.006 0.011 0.643
Ge 0.330 0.673 0.514
Ge 0.335 0.667 0.021
Ge 0.667 0.327 0.484
In 0.672 0.335 0.183
In 0.326 0.660 0.320
In 0.997 0.999 0.853
In 0.665 0.338 0.989
In 0.670 0.333 0.676
In 0.338 0.670 0.812
P 0.660 0.626 0.581
P 0.664 0.024 0.086
P 0.277 0.001 0.253
P 0.341 0.374 0.417
P 0.721 0.721 0.251
P 0.999 0.712 0.746
P 0.337 0.956 0.917
P 0.288 0.287 0.747
P 0.046 0.379 0.919

## Properties
Energy relative to the elements in eV/atom: -2.53
E_tot in Ry/atom: -0.471
SG: P1 (1)